Na2Cr2H4O9: optimized geometry, PBE+U.

Results
* electronic total energy: -5.750 eV per atom

extended XYZ file:
```
68
Lattice="-8.2707 -2.0724 6.8575 3.9447 -2.7457 3.9279 2.7455 10.8282 6.5837" Properties=species:S:1:pos:R:3 pbc="T T T"
O 4.6933 6.7341 10.2524
O -2.8390 -1.6532 8.6228
O -2.7779 1.3316 8.0029
O -1.5309 0.4354 5.1393
O 1.2204 -1.3948 3.5999
H 0.8591 1.3448 9.4942
H 1.7608 3.5629 11.5852
Na -4.3923 6.4107 10.6189
O -4.9435 6.3626 13.0575
O -4.5609 -0.2948 5.6964
O -1.0811 7.8359 12.3432
H 0.7520 7.3835 11.8960
O -5.1799 -0.2089 10.6800
O -4.4516 -4.1020 10.4318
O 1.2650 6.7762 5.8643
O -6.0133 -2.1081 8.1216
O 1.9854 3.6612 5.6768
O 0.4736 2.4551 3.7111
H 2.2460 7.3508 12.3295
Na -1.1906 -1.4110 3.5876
Cr 1.8244 8.0588 6.6990
O 1.4000 0.9227 5.7065
O -2.6487 -1.1410 12.0671
O 2.4158 -2.3801 5.8221
H -2.6609 5.0127 13.2366
Na 1.9736 -0.6105 7.4452
Na -4.7426 -0.0767 8.2590
Cr -1.2243 -1.5022 8.8621
O -3.0622 3.9831 7.9380
O -0.8805 -0.2737 9.8755
Cr -1.0269 4.4201 10.7681
O 1.7775 7.7934 8.3160
Na -0.2782 4.8660 5.7907
O -0.8677 9.1753 10.0372
H -2.1722 0.3939 5.8747
O 1.6691 7.4258 11.5389
O -3.2980 8.5652 10.9681
O -1.3120 6.5547 7.2755
Cr -2.0287 2.7599 8.2473
H 1.7762 -0.3438 2.0664
O -0.7117 2.8979 7.2804
H -0.6598 0.5614 5.5753
O 4.0083 2.6601 7.3363
Cr 1.7425 2.1653 4.6972
O -3.6148 2.4242 12.3654
H -6.7014 -2.0610 7.4233
O -5.1388 4.0539 10.2632
O 3.2282 5.1874 7.6824
O 1.5293 1.4478 8.7883
O -1.4921 2.8687 9.9728
O -2.3878 5.2360 11.1712
Na -1.4181 7.1635 14.6340
Cr 2.3564 -2.4176 4.1881
O -0.0922 5.2941 9.7499
H -5.9328 3.7901 10.7712
O -2.4081 4.9838 14.1854
O -0.4293 -1.3027 7.4559
Cr -1.7692 8.9709 11.3836
H -3.2083 4.6641 14.6451
Na -1.5779 1.0752 11.8069
O -0.1907 4.0220 12.1130
Na 2.3020 5.8713 9.8233
H -4.3938 3.6290 10.7372
H -3.2989 -1.1262 11.3336
H -7.1501 1.4929 8.9419
H 1.0647 1.9430 8.0817
H -0.7056 6.5290 8.0453
Cr 3.5125 4.0181 6.5811
```

=====

Na4Cr2H6O11: optimized geometry, PBE+U.

Results
* electronic total energy: -5.520 eV per atom

extended XYZ file:
```
46
Lattice="-3.4398 -4.3648 0.0000 -3.4398 4.3648 0.0000 3.4398 0.0000 -17.8688" Properties=species:S:1:pos:R:3 pbc="T T T"
H -0.8386 -3.7413 -11.9581
H 0.8813 -1.5589 -14.8450
O -3.2597 3.1739 -2.0083
Cr -3.7213 -2.2859 -6.7417
Na -2.4341 0.3793 -9.0627
Na 1.0057 -0.3793 -8.8061
O -0.4643 -1.2347 -5.2369
O 1.2556 -0.9477 -14.1713
O -5.6126 1.1924 -1.1636
O 0.1801 -3.1739 -15.8604
Na -0.3860 -0.7578 -12.3213
H -1.1817 -2.3921 -8.1725
O -0.5499 0.8813 -16.0071
H -0.8386 -0.6235 -5.9107
O -2.1842 0.9477 -3.6975
H 0.5382 0.2097 -17.1069
H -1.4478 2.9125 -13.7533
O -2.2862 0.0000 0.0000
Na 1.3339 1.4246 -14.4818
H -2.9016 -0.2097 -0.7619
Na -0.7142 2.5617 -17.7405
O -0.5663 -2.1824 -8.9344
H -3.1677 0.7301 -13.0498
O -3.7166 -1.7196 -5.1840
O -0.2768 1.7197 -12.6847
O -3.8927 -0.9900 -7.7707
Cr -0.2815 2.2859 -11.1271
H -1.4478 1.4524 -4.1155
Na -3.8258 0.7578 -5.5475
O -3.9897 -0.8813 -1.8616
O -5.4365 0.4628 -3.7504
H -1.1817 -1.9727 -9.6962
O -2.2698 -3.0637 -7.0728
Cr -2.0014 0.1035 -15.6761
O -1.5398 0.9915 -6.9261
O -1.5398 3.3734 -10.9427
O -0.4643 -3.1301 -12.6318
O -2.1728 -1.1924 -16.7051
O -2.2698 -1.3011 -10.7960
H 0.2721 -0.7301 -4.8189
Na -4.1540 -2.5617 -0.1283
O -0.4529 0.9900 -10.0980
H -2.5585 1.5589 -3.0237
O -1.9967 -0.4628 -14.1184
Na -2.1059 -1.4246 -3.3869
Cr -5.4412 -0.1035 -2.1927
```

=====

Na9Cr2H27O21: optimized geometry, PBE+U.

Results
* electronic total energy: -5.045 eV per atom

extended XYZ file:
```
118
Lattice="-8.8056 0.0000 0.0000 3.9228 10.8185 0.0000 -0.4723 -3.1208 -11.2977" Properties=species:S:1:pos:R:3 pbc="T T T"
H 0.5071 4.3593 -0.3236
H 0.1314 1.9003 -8.3643
H -5.8622 3.3384 -10.9740
Na -5.2813 -1.6636 -7.1708
H -4.5337 2.5186 -9.1133
H -7.7257 -0.9780 -5.7402
O 0.1931 6.0790 -0.2622
O -2.9128 0.5591 -11.0605
H -4.4600 4.0967 -3.2368
O -4.0494 1.8162 -8.6440
Na 0.6859 6.1270 -4.1026
O 1.1802 2.7933 -8.4042
Na -3.2832 5.2006 -1.3378
H 0.5672 9.3472 -0.6057
Na -1.9562 4.1201 -4.2145
O -4.8462 4.9913 -8.5359
H -5.4370 7.9694 -0.3323
H -2.1552 0.0547 -10.7109
Na 0.4607 4.6054 -9.7873
H -5.5432 6.8599 -6.2677
O -3.2392 10.5557 -0.0571
O -4.8287 7.4347 -7.4963
Na -7.3702 3.1377 -4.2611
H -7.1025 2.4669 -9.1574
H 1.6042 7.9895 -2.0436
Na -5.1876 -0.0481 -1.4964
Cr -4.5392 0.2317 -9.8816
O -2.1159 -2.8580 -11.2405
O 0.6971 6.1720 -8.1475
O -5.3335 3.1629 -5.5431
O -3.4227 0.5469 -3.0058
H 2.3706 8.6757 -5.5575
H -6.9593 -0.2918 -9.2541
H -5.1203 4.0552 -5.2132
Na -2.8699 0.4796 -7.0169
O -4.5853 6.4389 -3.0596
O -4.9241 0.2974 -5.5253
H -5.4865 5.7974 -2.9333
Na -2.6185 5.6830 -9.9378
H 0.0082 2.8488 -1.9228
H -3.8958 10.0153 -0.6200
H -0.2348 3.6425 -6.0844
H -0.8214 5.1791 -2.1843
O 0.7956 7.8468 -2.5605
Na -2.4852 7.2181 -4.2807
H -2.4812 0.3817 -3.2315
H 3.4203 9.2311 -2.1408
Na -5.8158 3.0923 -1.5103
H -0.4740 1.7236 -3.0141
H -1.9289 1.6553 -4.9520
H -4.7182 7.2461 -2.5055
H -6.5795 0.7650 -3.4420
Na -2.7366 2.0147 -1.3598
H -0.8951 3.6010 -8.0609
H -8.6264 -0.2779 -3.4084
O -2.6719 2.1270 -5.3649
O -1.8584 8.7425 -2.6167
O -1.9037 -1.2311 -5.5151
O -4.8072 8.9131 -1.4288
H -2.8739 7.3160 -8.0662
H -8.7754 -1.5334 -9.1569
Na -6.0410 1.5707 -7.1951
H 0.5191 7.4898 -5.9720
O -2.6832 5.5707 -5.9328
Cr -4.3557 1.8199 -4.2679
Cr -0.8159 7.4660 -1.4160
Na -0.0738 9.3613 -4.1269
H -2.5650 -1.1069 -8.9808
Na -3.3989 3.5776 -7.0832
H -4.8811 5.9741 -8.2836
H -2.7901 8.8046 -2.3168
H 0.0819 -0.2717 -10.9653
O -6.0522 1.5257 -3.1501
H 1.7474 5.2308 -2.1403
O -0.5479 -1.2154 -9.8688
H 0.1566 1.1425 -6.6254
Na -0.1675 7.7458 -9.8013
O -0.4310 7.4003 -5.7724
O -6.1507 -0.1491 -8.7371
O -5.1271 -1.3127 -11.1445
H 1.2244 6.9327 -7.8556
O -6.0973 6.4994 -5.4730
O 0.7422 1.1983 -5.8247
H -4.0298 8.4453 -6.4648
Na 2.0151 4.5600 -7.0366
H -1.3253 -0.7476 -4.8329
O -5.5482 1.6187 -11.0355
O -3.4514 8.9287 -5.7825
H -5.8742 0.2079 -5.3257
O 0.8857 3.4351 -0.4427
Cr -0.9994 5.8778 -7.0297
H -3.4262 6.0424 -6.3457
O -0.2280 9.0104 -0.1532
H 2.8100 10.3941 -0.4015
Na -2.0719 2.4971 -9.9598
O -0.7698 1.2588 -8.2381
H -5.9223 -1.6495 -10.6920
O -0.5264 0.2630 -3.8014
O -2.4423 7.1386 -0.2371
H 3.2713 7.9756 -7.8892
O -1.4911 4.3351 -8.2961
O -3.8640 3.3626 -3.0015
H 1.1354 6.3292 -0.3211
H -3.1999 7.6430 -0.5867
H -5.5117 6.5552 -4.6722
O -0.0216 4.5348 -5.7545
H -0.6369 0.4516 -8.7921
O -0.5089 2.7064 -2.7617
O -3.4967 -1.0448 -8.6809
O -6.2408 4.2625 -10.8549
H -5.3633 4.8489 -9.3748
H 0.1881 0.8378 -5.0299
H -6.4905 1.3685 -10.9765
O -1.3057 5.8815 -2.6537
H -8.1651 -2.6965 -10.8962
O -6.5353 4.9044 -2.8935
H -1.4593 -2.3176 -10.6776
O -1.9324 7.1508 -8.2919
```

=====

Na2Cr2H2O7: optimized geometry, PBE+U.

Results
* electronic total energy: -5.387 eV per atom

extended XYZ file:
```
52
Lattice="-1.3901 -10.2100 2.0708 3.1480 0.6795 5.4632 -11.4746 2.8900 6.5464" Properties=species:S:1:pos:R:3 pbc="T T T"
Cr -4.9077 -3.6239 8.3051
H -8.8757 1.2852 10.1308
O -2.0518 -8.3656 8.9092
H -2.5769 -0.5859 7.9001
O -3.5528 -3.1710 9.0911
Na -4.0139 -7.0423 9.4577
Na -7.2618 -0.7878 9.2791
H -0.6541 -6.5538 3.6714
O -4.2048 -8.7819 6.3882
O -6.6517 0.8163 7.7667
O -5.2481 -5.1730 8.6819
O -11.0071 1.4282 7.3594
O -1.9146 -2.9740 6.0816
Cr -12.3118 -7.1611 9.4021
O -0.8713 -8.3206 6.5019
Cr -5.8916 2.2352 7.4617
O -4.6287 -3.4805 6.5317
Na -10.3516 -5.0754 11.8814
H -8.0893 -0.1955 5.0905
O 0.9183 -4.1039 4.4489
O -8.2655 -2.6867 6.0661
O -2.7976 -5.4934 5.9156
H -7.0971 -5.7418 6.1169
O -6.1634 -2.6443 8.6629
O -3.4868 -3.6881 4.0293
O -7.8626 -1.5435 11.6137
H -8.0266 -4.6207 10.4060
O -8.7956 -5.9762 13.3461
O -2.4360 -9.3713 3.3337
O 0.3114 -0.4101 5.7924
Cr 1.9194 -4.4429 5.6851
Na -2.6999 -7.6526 5.1664
Na -9.7356 -6.3116 7.1224
O -4.3996 1.8962 6.5233
O -11.1942 -6.6443 10.4646
H -1.6154 -1.4718 3.5633
Cr -9.5136 -2.6099 7.1009
Na 0.4345 -3.0375 2.4977
O -5.4917 1.4675 3.9880
Cr -0.8815 -9.0143 7.9904
O -4.3488 -0.5880 5.2201
Na -6.0606 -2.2265 5.1558
Cr -3.1507 -3.9223 5.6141
O -8.2551 -6.9946 8.6739
Na -0.2296 -2.1544 7.3283
O -6.8145 -7.2467 10.9221
O -9.2676 -1.4219 8.2077
O -9.7293 -4.0367 7.8431
O -1.3749 -3.9977 1.4105
Cr -4.2596 1.0184 4.9570
H -1.5308 -5.7363 8.8462
O 1.5838 -5.9137 6.2840
```

=====

Na4CrH8SO7: optimized geometry, PBE+U.

Results
* electronic total energy: -5.034 eV per atom

extended XYZ file:
```
84
Lattice="-0.6684 -7.1869 -11.8395 5.8040 0.2735 -0.4937 3.5899 -9.2184 5.3932" Properties=species:S:1:pos:R:3 pbc="T T T"
H 7.3637 -8.4147 -1.1048
O 4.4994 -5.5532 -2.1248
S 7.3770 -5.3137 2.5692
O 3.9378 -8.3411 -1.8210
H 4.3530 -7.8445 3.6730
O 4.8079 -7.4199 -10.7067
Na 7.8856 -9.3689 4.3367
Na 2.8945 -8.5800 -3.9803
Na 3.5714 -3.4022 -1.4963
H 6.1778 -8.2417 2.6692
H 7.2443 -10.9843 -1.2686
O 3.1925 -14.0974 -4.7411
Na 5.1540 -12.7297 -5.4437
Na 2.5746 -8.1134 1.7826
Na 8.0333 -11.6870 -4.4763
O 2.3338 -7.0154 -9.2349
Na 3.4167 -7.5008 -7.1195
Na 6.1509 -8.0185 -8.7226
Cr 2.9743 -6.6452 -1.2291
Na 0.8399 -6.7630 -11.2767
O 6.4130 -10.5511 -0.9159
H 6.7763 -14.0682 -6.8354
Cr 3.8710 -5.7936 -9.9167
Cr 5.7512 -9.4867 -5.7108
H 4.3725 -8.2874 -10.6129
H 3.0852 -4.9775 -5.8560
Na 7.6746 -10.9231 1.3598
H 3.8844 -10.6553 0.5517
Na 5.8310 -7.5519 -2.9596
H 6.4322 -10.0494 -3.2259
H 4.8411 -5.4766 -7.4916
H 5.7348 -3.3061 1.0906
O 4.9446 -6.1125 -8.2371
O 2.0280 -4.9574 -0.6537
O 6.5293 -13.3887 -3.7122
H 3.7797 -6.0230 1.1262
H 2.9907 -12.8258 -8.0305
H 5.6402 -11.1544 -1.0839
O 7.2507 -7.4744 -0.8706
O 3.7808 -10.0194 1.2972
O 6.8300 -9.5867 -3.9867
O 5.5330 -2.0345 -2.1989
Cr 4.8544 -10.3383 2.9767
H 4.9458 -10.1089 -8.0661
O 2.3124 -5.5808 -6.0241
Na 5.3088 -8.6311 0.1795
H 5.2129 -6.9694 -5.4309
H 3.0137 -13.8639 -5.6713
Na 0.6922 -4.4449 -2.4637
O 1.8955 -6.5452 -2.9533
O 4.7877 -7.7908 -5.1190
O 6.6975 -11.1745 -6.2863
S 1.3485 -10.8182 -9.5092
H 1.8412 -2.9569 -4.1124
H 1.3618 -7.7172 -5.8352
S 5.2676 -4.0857 -5.6974
O 4.6760 -9.4070 -7.4426
H 4.1315 -3.4681 1.2886
H 6.5013 -11.5348 -7.1821
H 4.2121 -5.4690 -3.0529
S 3.4579 -12.0462 -1.2426
H 3.5125 -9.1625 -1.5091
H 1.4812 -5.1476 -5.6714
O 4.8567 -3.3763 0.6140
O 3.9176 -8.7120 3.7667
Na 1.0509 -5.2088 -8.2998
O 2.1962 -2.7432 -3.2278
H 4.5134 -10.6629 -3.8870
O 6.3917 -9.1164 2.2949
H 4.5940 -12.6638 -8.2285
Na 2.7818 -10.5062 -6.7369
H 1.9491 -2.0637 -0.1046
O 1.4748 -8.6575 -6.0693
O 6.3684 -14.7030 -6.2163
H 2.2242 -4.5971 0.2422
O 4.0495 -6.7249 0.5026
H 6.8843 -13.1750 -2.8276
H 2.2932 -6.0825 -3.7140
Na 5.9436 -5.6257 -0.2031
H 5.7118 -2.2680 -1.2686
O 4.2260 -10.5787 -4.8151
O 2.3571 -1.4289 -0.7237
H 2.5477 -7.8902 -9.6092
O 3.8688 -12.7556 -7.5540
```

=====

CrH5O4: optimized geometry, PBE+U.

Results
* electronic total energy: -5.593 eV per atom

extended XYZ file:
```
10
Lattice="3.0929 0.0000 0.0000 0.0000 4.3655 0.0000 0.0000 1.1575 5.7457" Properties=species:S:1:pos:R:3 pbc="T T T"
O 0.0000 3.7122 3.8589
H 2.2913 2.5222 4.5151
H 1.5464 4.2275 0.4715
H 1.5464 2.7880 1.2291
H 0.0000 2.4071 2.7287
H 0.8016 2.5222 4.5151
Cr 1.5464 4.7859 3.1227
O 1.5464 3.7566 1.3480
O 1.5464 1.8321 4.7100
O 0.0000 1.4868 2.3271
```

=====

no.,total magnetic moment (μB/f.u.)
1,0.00
2,0.00
3,6.00
4,2.00
5,3.00
6,3.00